(1)
A relaxed structure of Li7OsN4. Source: Materials Project, functional PBE.

Summary:
symmetry	No. 205
M_tot	0.083	μB per atom
calculated formation energy	-0.4449	eV/atom
final energy	-5.1525	eV per atom

```
Li7OsN4
1.0
9.7803 0.0000 0.0000
0.0000 9.7803 0.0000
0.0000 0.0000 9.7803
Li Os N
56 8 32
Cartesian
1.0041 1.3358 8.6403
1.0041 3.5544 3.7501
1.1400 5.8943 3.5544
1.1441 6.1782 1.2587
1.1441 8.4923 6.1489
1.1400 8.7762 8.4445
1.2587 1.1441 6.1782
1.2587 3.7460 1.2881
1.2881 1.2587 3.7460
1.2881 3.6315 8.6362
1.3084 1.3084 1.3084
1.3084 3.5818 6.1986
1.3358 6.0302 5.8943
1.3358 8.6403 1.0041
3.5544 1.1400 5.8943
3.5544 3.7501 1.0041
3.5818 6.1986 1.3084
3.5818 8.4719 6.1986
3.6021 6.1489 3.7460
3.6021 8.5216 8.6362
3.6315 6.0343 6.1782
3.6315 8.6362 1.2881
3.7501 1.0041 3.5544
3.7460 1.2881 1.2587
3.7460 3.6021 6.1489
3.7501 3.8861 8.4445
3.8861 6.2259 8.6403
3.8861 8.4445 3.7501
5.8943 1.3358 6.0302
5.8943 3.5544 1.1400
6.0302 5.8943 1.3358
6.0343 6.1782 3.6315
6.0343 8.4923 8.5216
6.0302 8.7762 6.2259
6.1489 1.1441 8.4923
6.1489 3.7460 3.6021
6.1782 1.2587 1.1441
6.1782 3.6315 6.0343
6.1986 1.3084 3.5818
6.1986 3.5818 8.4719
6.2259 6.0302 8.7762
6.2259 8.6403 3.8861
8.4445 1.1400 8.7762
8.4445 3.7501 3.8861
8.4719 6.1986 3.5818
8.4719 8.4719 8.4719
8.4923 6.1489 1.1441
8.4923 8.5216 6.0343
8.5216 6.0343 8.4923
8.5216 8.6362 3.6021
8.6403 1.0041 1.3358
8.6362 1.2881 3.6315
8.6362 3.6021 8.5216
8.6403 3.8861 6.2259
8.7762 6.2259 6.0302
8.7762 8.4445 1.1400
1.2741 6.1642 8.5063
1.2741 8.5063 3.6161
3.6161 1.2741 8.5063
3.6161 3.6161 3.6161
6.1642 6.1642 6.1642
6.1642 8.5063 1.2741
8.5063 1.2741 6.1642
8.5063 3.6161 1.2741
0.0834 7.2722 9.6128
0.0834 7.3983 4.7226
0.1675 4.9736 7.3983
0.1675 9.6969 2.5082
2.3820 5.0577 9.6969
2.3904 7.2806 7.3899
2.3904 7.3899 2.4998
2.3820 9.6128 4.8067
2.5082 0.1675 9.6969
2.4998 2.3904 7.3899
2.4998 2.4998 2.4998
2.5082 4.7226 4.8067
4.7226 0.0834 7.3983
4.7226 4.8067 2.5082
4.8067 2.3820 9.6128
4.8067 2.5082 4.7226
4.9736 7.2722 5.0577
4.9736 7.3983 0.1675
5.0577 4.9736 7.2722
5.0577 9.6969 2.3820
7.2722 5.0577 4.9736
7.2806 7.2806 7.2806
7.2806 7.3899 2.3904
7.2722 9.6128 0.0834
7.3983 0.1675 4.9736
7.3899 2.3904 7.2806
7.3899 2.4998 2.3904
7.3983 4.7226 0.0834
9.6128 0.0834 7.2722
9.6128 4.8067 2.3820
9.6969 2.3820 5.0577
9.6969 2.5082 0.1675
```

(2)
A relaxed structure of GaAsRh4. Source: Materials Project, functional PBE.

Summary:
symmetry	No. 26
M_tot	0.000	μB per atom
calculated formation energy	-0.4150	eV/atom
final energy	-6.6057	eV per atom

```
GaAsRh4
1.0
4.0834 0.0000 0.0000
0.0000 7.6879 0.0000
0.0000 0.0000 5.5503
Ga As Rh
2 2 8
Cartesian
0.0000 1.0577 0.0000
0.0000 6.6302 2.7751
2.0417 2.6507 3.2095
2.0417 5.0372 0.4344
0.0000 1.4566 2.4787
0.0000 3.4452 4.4796
0.0000 4.2427 1.7045
0.0000 6.2313 5.2538
2.0417 0.3148 4.1471
2.0417 2.5333 0.7085
2.0417 5.1546 3.4836
2.0417 7.3731 1.3720
```

(3)
A relaxed structure of K3SbBr6. Source: Materials Project, functional PBE.

Summary:
symmetry	No. 225
M_tot	0.000	μB per atom
calculated formation energy	-1.5655	eV/atom
final energy	-2.9733	eV per atom

```
K3SbBr6
1.0
0.0000 5.9338 5.9338
5.9338 0.0000 5.9338
5.9338 5.9338 0.0000
K Sb Br
3 1 6
Cartesian
0.0000 0.0000 0.0000
2.9669 2.9669 2.9669
8.9007 8.9007 8.9007
5.9338 5.9338 5.9338
5.9338 5.9338 3.1275
5.9338 3.1275 5.9338
8.7401 5.9338 5.9338
3.1275 5.9338 5.9338
5.9338 8.7401 5.9338
5.9338 5.9338 8.7401
```

(4)
A relaxed structure of BaMg14Fe. Source: Materials Project, functional PBE.

Summary:
symmetry	No. 38
M_tot	0.127	μB per atom
calculated formation energy	0.1589	eV/atom
energy above the lowest structure with this stoichiometry	0	meV per atom
final energy	-1.8907	eV per atom

```
BaMg14Fe
1.0
10.4314 0.0000 0.0000
0.0000 3.0813 5.8589
0.0000 -3.0813 5.8589
Ba Mg Fe
1 14 1
Cartesian
0.0000 0.0000 0.0000
0.0000 -1.4875 2.9423
0.0000 1.4875 2.9423
2.3896 0.0000 7.5975
2.6349 -1.4725 4.7610
2.6349 1.4725 4.7610
2.7676 0.0000 1.8985
5.2157 0.0000 5.8233
5.2157 -1.5097 8.7374
5.2157 1.5097 8.7374
5.2157 0.0000 11.6281
7.6637 0.0000 1.8985
7.7965 -1.4725 4.7610
7.7965 1.4725 4.7610
8.0418 0.0000 7.5975
0.0000 0.0000 5.6914
```

(5)
A relaxed structure of LaH3C3O6. Source: Materials Project, functional PBE.

Summary:
symmetry	No. 160
piezoelectric modulus e_max	0.3	C/m²
M_tot	0.000	μB per atom
calculated formation energy	-1.7777	eV/atom
final energy	-7.0367	eV per atom

```
LaH3C3O6
1.0
5.4303 3.1352 1.3894
-5.4303 3.1352 1.3894
0.0000 -6.2704 1.3894
La H C O
1 3 3 6
Cartesian
0.0000 0.0000 0.0000
0.0000 -3.0485 2.2615
-2.6401 1.5243 2.2615
2.6401 1.5243 2.2615
-2.4822 -1.4331 1.9195
2.4822 -1.4331 1.9195
0.0000 2.8663 1.9195
-3.2244 -1.8616 2.8503
-1.3845 -0.7993 2.1003
1.3845 -0.7993 2.1003
0.0000 1.5986 2.1003
3.2244 -1.8616 2.8503
0.0000 3.7233 2.8503
```

(6)
A relaxed structure of Li2Si2O5. Source: Materials Project, functional PBE.

Summary:
symmetry	No. 37
piezoelectric modulus e_max	1.1	C/m²
calculated formation energy	-3.0159	eV/atom
energy above the lowest structure with this stoichiometry	0	meV per atom
final energy	-7.0129	eV per atom

```
Li2Si2O5
1.0
2.9438 -7.3995 0.0000
2.9438 7.3995 0.0000
0.0000 0.0000 4.8428
Li Si O
4 4 10
Cartesian
0.8996 0.8549 0.0000
0.8996 -0.8549 2.4214
4.9881 0.8549 2.4214
4.9881 -0.8549 0.0000
2.0276 2.1939 2.4372
2.0276 -2.1939 0.0158
3.8601 2.1939 0.0158
3.8601 -2.1939 2.4372
1.4719 3.6998 2.7089
0.9951 1.0612 2.8840
0.9951 -1.0612 0.4626
2.4023 2.0369 0.8207
3.4853 2.0369 3.2421
1.4719 -3.6998 0.2874
2.4023 -2.0369 3.2421
3.4853 -2.0369 0.8207
4.8926 1.0612 0.4626
4.8926 -1.0612 2.8840
```

Repeat the fifth record exactly.
A relaxed structure of LaH3C3O6. Source: Materials Project, functional PBE.

Summary:
symmetry	No. 160
piezoelectric modulus e_max	0.3	C/m²
M_tot	0.000	μB per atom
calculated formation energy	-1.7777	eV/atom
final energy	-7.0367	eV per atom

```
LaH3C3O6
1.0
5.4303 3.1352 1.3894
-5.4303 3.1352 1.3894
0.0000 -6.2704 1.3894
La H C O
1 3 3 6
Cartesian
0.0000 0.0000 0.0000
0.0000 -3.0485 2.2615
-2.6401 1.5243 2.2615
2.6401 1.5243 2.2615
-2.4822 -1.4331 1.9195
2.4822 -1.4331 1.9195
0.0000 2.8663 1.9195
-3.2244 -1.8616 2.8503
-1.3845 -0.7993 2.1003
1.3845 -0.7993 2.1003
0.0000 1.5986 2.1003
3.2244 -1.8616 2.8503
0.0000 3.7233 2.8503
```